# GGA+U Li5Mn5O12, optimized geometry
# Energy relative to the elements (meV per atom): -2024
# VASP energy (eV/atom): -6.485
# ΔE to the lowest computed polymorph (meV per atom): 20.9
data_Li5Mn5O12
_space_group_name_H-M_alt 'P 1'
_space_group_IT_number 1
_cell_length_a 5.020
_cell_length_b 8.886
_cell_length_c 9.416
_cell_angle_alpha 84.16
_cell_angle_beta 84.92
_cell_angle_gamma 86.22
loop_
_space_group_symop_operation_xyz
'x,y,z'
loop_
_atom_site_label
_atom_site_type_symbol
_atom_site_fract_x
_atom_site_fract_y
_atom_site_fract_z
_atom_site_occupancy
Li1 Li 0.000 0.000 0.000 1
Li2 Li 0.012 0.342 0.988 1
Li3 Li 0.108 0.138 0.234 1
Li4 Li 0.370 0.044 0.752 1
Li5 Li 0.479 0.834 0.001 1
Li6 Li 0.495 0.501 0.989 1
Li7 Li 0.596 0.648 0.234 1
Li8 Li 0.628 0.301 0.236 1
Li9 Li 0.848 0.874 0.761 1
Li10 Li 0.869 0.533 0.757 1
Mn1 Mn 0.121 0.473 0.241 1
Mn2 Mn 0.224 0.924 0.490 1
Mn3 Mn 0.250 0.254 0.497 1
Mn4 Mn 0.363 0.701 0.749 1
Mn5 Mn 0.485 0.177 0.991 1
Mn6 Mn 0.627 0.967 0.238 1
Mn7 Mn 0.720 0.425 0.495 1
Mn8 Mn 0.754 0.756 0.492 1
Mn9 Mn 0.865 0.209 0.749 1
Mn10 Mn 0.984 0.676 0.998 1
O1 O 0.010 0.378 0.618 1
O2 O 0.051 0.763 0.605 1
O3 O 0.092 0.084 0.614 1
O4 O 0.169 0.834 0.879 1
O5 O 0.179 0.548 0.867 1
O6 O 0.185 0.178 0.885 1
O7 O 0.275 0.633 0.129 1
O8 O 0.306 0.323 0.124 1
O9 O 0.348 0.007 0.113 1
O10 O 0.386 0.093 0.376 1
O11 O 0.414 0.419 0.378 1
O12 O 0.457 0.803 0.368 1
O13 O 0.516 0.876 0.621 1
O14 O 0.553 0.257 0.603 1
O15 O 0.596 0.587 0.612 1
O16 O 0.685 0.335 0.882 1
O17 O 0.686 0.049 0.860 1
O18 O 0.689 0.690 0.878 1
O19 O 0.778 0.134 0.132 1
O20 O 0.784 0.823 0.119 1
O21 O 0.841 0.502 0.118 1
O22 O 0.882 0.591 0.377 1
O23 O 0.911 0.926 0.382 1
O24 O 0.945 0.305 0.365 1